V2ZnS4: relaxed, PBE.

Cell: 7.124 7.124 7.124 Å, 60.00 60.00 60.00°
Fractional positions:
S 0.367 0.367 0.900
V 0.125 0.125 0.125
Zn 0.500 0.500 0.500
S 0.350 0.883 0.883
S 0.883 0.350 0.883
S 0.883 0.883 0.350
V 0.125 0.125 0.625
S 0.367 0.900 0.367
S 0.883 0.883 0.883
S 0.367 0.367 0.367
V 0.125 0.625 0.125
Zn 0.750 0.750 0.750
S 0.900 0.367 0.367
V 0.625 0.125 0.125

* formation enthalpy at 0 K: -1124.4 meV/atom
* size of the total moment: 0.57 μB/atom
* theoretical density: 3839 kg/m³
* SG: No. 227